No. 1
The following is a DFT calculation (PBE with a Hubbard U) of an optimized crystal structure of LiMnPO4.

```
14
Lattice="-2.619 4.385 -1.102 -1.209 -4.531 -2.304 -5.853 -1.659 5.443" Properties=species:S:1:pos:R:3 pbc="T T T"
O -3.685 -0.361 -0.789
O -3.539 2.161 -0.596
O -5.254 -2.650 3.715
O -5.244 0.921 0.716
O -2.727 0.707 1.334
O -7.611 -3.449 2.960
O -6.576 -1.411 1.903
O -5.665 -3.731 1.443
P -6.251 -2.790 2.537
P -3.767 0.838 0.193
Mn -6.165 0.486 2.562
Mn -2.690 -2.147 -0.626
Li -3.455 -0.923 -3.112
Li -6.623 -0.226 -0.184
```

Output
Largest piezoelectric modulus ... 2.427 C/m2
V ... 13.542 Å³ per atom
DFT total energy ... -7.10 eV per atom

---

No. 2
The following is a DFT calculation (PBE with a Hubbard U) of an optimized crystal structure of LiMnP2O7.

```
44
Lattice="9.812 0.000 0.000 0.000 7.133 0.000 0.000 2.988 7.873" Properties=species:S:1:pos:R:3 pbc="T T T"
O 2.019 7.705 1.887
O 2.887 9.199 5.823
O 4.092 1.970 1.911
O 7.794 2.416 5.986
O 5.560 3.455 6.549
O 9.159 1.961 2.612
O 5.946 5.664 7.758
O 4.253 6.666 1.324
O 8.718 1.303 0.206
O 8.999 6.658 2.026
O 8.773 4.170 3.822
O 3.812 7.325 3.731
O 0.653 8.161 5.261
O 2.225 6.418 6.240
O 3.867 4.458 0.115
O 7.587 3.704 1.633
O 5.720 8.152 5.962
O 5.127 4.553 2.353
O 7.131 5.198 5.570
O 6.925 0.922 2.050
O 6.000 2.797 4.142
O 9.591 6.047 6.289
O 0.814 3.464 5.847
O 4.685 5.569 5.520
O 2.681 4.924 2.303
O 1.094 8.819 7.667
O 1.040 5.952 4.051
O 0.221 4.075 1.584
Li 6.412 5.701 3.621
Li 3.400 4.421 4.252
Li 8.306 7.195 7.557
Li 1.506 2.927 0.316
P 3.506 7.742 2.317
P 8.886 3.538 2.483
P 8.412 0.885 1.619
P 6.307 2.380 5.556
P 5.832 5.032 6.420
P 1.400 9.236 6.254
P 3.980 5.089 1.453
P 0.926 6.583 5.390
Mn 5.917 2.691 1.992
Mn 8.802 4.185 5.929
Mn 3.896 7.431 5.881
Mn 1.010 5.937 1.944
```

Output
V ... 12.524 Å³ per atom
DFT total energy ... -7.06 eV per atom

---

No. 3
The following is a DFT calculation (PBE with a Hubbard U) of an optimized crystal structure of LiMnP2O7.

```
44
Lattice="5.176 0.000 0.000 0.000 8.544 0.000 0.000 6.662 12.575" Properties=species:S:1:pos:R:3 pbc="T T T"
O 3.020 11.327 11.132
O 2.465 10.507 8.312
O 5.071 4.931 4.189
O 2.711 4.699 4.263
O 4.079 11.337 5.384
O 4.744 7.997 4.844
O 1.905 7.044 4.975
O 2.156 3.879 1.443
O 3.271 8.162 7.600
O 5.053 8.030 10.551
O 4.023 2.932 2.897
O 1.096 3.869 7.191
O 3.684 14.668 11.672
O 0.432 7.210 7.731
O 0.105 10.275 8.386
O 1.435 8.943 3.390
O 2.483 6.944 2.099
O 3.736 5.817 6.696
O 0.683 10.375 11.263
O 1.153 12.274 9.678
O 0.123 7.177 2.024
O 2.693 8.262 10.476
O 1.492 0.538 0.903
O 3.741 6.263 9.185
O 4.028 2.486 0.409
O 1.148 12.720 12.166
O 1.440 9.389 5.878
O 4.493 4.831 1.312
P 1.076 8.339 4.862
P 1.512 11.670 11.149
P 4.100 6.867 7.713
P 3.991 3.767 4.282
P 3.664 3.536 1.426
P 3.773 7.098 10.570
P 1.185 11.439 8.293
P 1.403 8.108 2.005
Li 3.546 9.984 6.559
Li 0.958 8.553 12.303
Li 4.217 6.653 0.272
Li 1.630 5.223 6.016
Mn 1.472 8.826 8.074
Mn 1.116 5.495 1.786
Mn 4.060 9.711 10.789
Mn 3.703 6.381 4.501
```

Output
V ... 12.639 Å³ per atom
DFT total energy ... -7.06 eV per atom

---

No. 4
The following is a DFT calculation (PBE with a Hubbard U) of an optimized crystal structure of Li2MnP2O8.

```
26
Lattice="4.652 4.022 -0.648 -4.652 4.022 0.648 -3.875 0.000 8.647" Properties=species:S:1:pos:R:3 pbc="T T T"
Mn -2.906 7.275 6.485
Mn -0.969 0.768 2.162
O 0.320 2.149 1.953
O -1.617 5.895 6.276
O -4.098 2.779 7.945
O -5.205 4.687 4.725
O 0.224 5.264 0.701
O -4.194 5.895 6.693
O -2.257 2.149 2.370
O 3.268 4.687 -0.402
O 2.336 3.396 1.584
O -4.273 3.396 2.740
O -2.161 5.264 3.622
O -7.142 3.357 9.048
O -6.211 4.648 7.063
O 0.400 4.648 5.907
O -1.713 2.780 5.025
O 1.331 3.358 3.921
P -4.908 1.549 7.632
P -2.970 6.495 3.309
P -0.904 1.549 5.338
P 1.033 6.495 1.015
Li -3.246 3.772 4.430
Li 1.309 3.772 -0.107
Li -0.629 4.272 4.216
Li -5.183 4.272 8.754
```

Output
V ... 11.667 Å³ per atom
DFT total energy ... -6.82 eV per atom

---

No. 5
The following is a DFT calculation (PBE with a Hubbard U) of an optimized crystal structure of Li3Mn3P4O16.

```
52
Lattice="-4.479 -0.412 -2.174 -1.214 -7.578 3.937 -7.037 0.546 14.391" Properties=species:S:1:pos:R:3 pbc="T T T"
O -5.519 0.166 8.016
O -7.211 -7.610 8.138
O -6.175 -2.931 9.377
O -9.899 -5.333 16.246
O -4.786 -7.326 3.361
O -10.875 -4.313 13.582
O -7.654 -2.294 11.245
O -2.193 -4.919 4.401
O -8.133 -2.001 6.237
O -6.555 -4.513 6.776
O -5.597 -2.667 5.247
O -4.597 -5.442 9.916
O -5.076 -5.150 4.909
O -4.050 -3.830 6.842
O -1.854 -3.130 2.572
O -3.861 -0.339 5.870
O -9.049 -0.617 8.177
O -10.222 -5.027 11.314
O -2.831 -2.110 -0.093
O -4.659 -3.841 2.359
O -8.737 -6.695 14.425
O -1.648 -0.074 0.991
O -11.081 -7.369 15.162
O -8.869 -7.105 10.283
O -2.507 -2.417 4.840
O -3.993 -0.749 1.728
O -8.679 -3.614 9.311
O -3.681 -6.827 7.977
O -7.133 -4.777 10.906
O -8.071 -3.603 13.794
O -10.537 -2.525 11.753
O -7.943 -0.117 12.792
P -3.974 -6.783 9.440
P -3.022 -0.730 0.593
P -9.707 -6.714 15.560
P -11.082 -3.966 12.139
P -8.755 -0.661 6.714
P -1.648 -3.477 4.015
P -5.354 -4.036 6.016
P -7.376 -3.408 10.138
Mn -5.273 -4.892 11.672
Mn -8.827 -2.082 12.720
Mn -7.457 -2.552 4.482
Mn -3.903 -5.362 3.433
Mn 0.000 0.000 0.000
Mn -5.758 0.067 6.108
Li -5.817 -1.077 11.507
Li -6.912 -6.367 4.647
Li -2.847 -3.995 0.881
Li -8.722 -5.936 12.671
Li -4.125 -3.516 9.164
Li -4.008 -1.507 3.482
```

Output
V ... 11.917 Å³ per atom
DFT total energy ... -7.01 eV per atom

---

No. 6
The following is a DFT calculation (PBE with a Hubbard U) of an optimized crystal structure of LiMnPO4.

```
28
Lattice="4.187 3.007 -0.070 -4.188 3.008 0.071 -0.642 0.004 16.149" Properties=species:S:1:pos:R:3 pbc="T T T"
O -1.450 4.398 3.072
O 0.807 1.620 13.079
O -0.929 3.083 5.715
O 0.205 1.634 15.463
O -3.505 2.611 2.395
O -0.848 4.384 0.688
O -1.771 1.620 11.146
O 0.526 4.385 7.389
O 3.183 2.611 5.680
O 0.286 2.935 10.435
O -3.826 3.408 10.471
O -1.169 1.633 8.762
O 0.607 3.083 2.362
O 2.863 3.407 13.756
O 1.128 4.399 5.005
O -1.250 2.935 13.788
P -0.108 4.372 5.958
P -0.428 1.646 14.032
P -0.215 4.372 2.119
P -0.535 1.646 10.193
Mn -1.496 1.365 6.739
Mn 0.853 4.654 9.412
Mn 1.174 1.366 1.337
Mn -1.817 4.652 14.814
Li -2.529 3.172 12.124
Li 1.887 2.846 4.027
Li 1.566 3.171 12.101
Li -2.209 2.847 4.049
```

Output
V ... 14.515 Å³ per atom
DFT total energy ... -7.13 eV per atom

---

No. 7
The following is a DFT calculation (PBE with a Hubbard U) of an optimized crystal structure of LiMn3P6O20.

```
60
Lattice="5.156 -6.900 0.000 5.156 6.900 0.000 0.000 0.000 12.315" Properties=species:S:1:pos:R:3 pbc="T T T"
O 4.154 -2.522 3.679
O 4.927 -5.444 7.026
O 7.281 -1.959 9.547
O 1.761 -2.161 2.711
O 7.544 0.367 4.795
O 4.154 -4.378 9.837
O 4.154 2.522 8.636
O 5.887 -3.650 5.432
O 4.927 -1.456 0.868
O 2.214 2.153 7.105
O 2.388 0.367 1.362
O 4.404 5.517 8.523
O 7.371 -2.153 0.947
O 3.080 -0.279 3.766
O 7.544 -0.367 7.520
O 1.761 2.161 9.604
O 8.237 0.279 9.923
O 4.927 1.456 11.447
O 2.124 -1.959 8.926
O 5.513 3.823 10.694
O 7.281 1.959 2.768
O 5.887 3.250 0.726
O 6.917 -2.161 3.447
O 5.887 3.650 6.884
O 5.513 -3.823 1.622
O 4.927 5.444 5.289
O 4.404 -5.517 3.792
O 5.513 3.077 4.536
O 4.154 4.378 2.478
O 8.237 -0.279 2.392
O 2.388 -0.367 10.953
O 7.371 2.153 11.368
O 4.404 1.383 2.365
O 2.124 1.959 3.389
O 5.513 -3.077 7.779
O 5.887 -3.250 11.589
O 3.080 0.279 8.549
O 6.917 2.161 8.869
O 4.404 -1.383 9.950
O 2.214 -2.153 5.210
P 8.132 -0.936 8.845
P 5.836 2.651 11.656
P 5.836 4.249 5.498
P 2.976 -0.936 9.627
P 5.836 -2.651 0.659
P 8.132 0.936 3.470
P 2.976 0.936 2.688
P 2.814 -1.863 3.739
P 2.814 1.863 8.576
P 5.836 -4.249 6.817
P 7.970 -1.863 2.418
P 7.970 1.863 9.897
Li 1.079 0.000 0.000
Li 6.236 0.000 6.158
Mn 5.642 -3.817 3.533
Mn 5.642 -3.083 9.691
Mn 3.920 0.000 0.000
Mn 5.642 3.817 8.782
Mn 5.642 3.083 2.625
Mn 9.077 0.000 6.158
```

Output
V ... 14.606 Å³ per atom
DFT total energy ... -7.20 eV per atom

---

No. 8
The following is a DFT calculation (PBE with a Hubbard U) of an optimized crystal structure of LiMnPO4.

```
42
Lattice="-2.301 -0.088 7.231 -5.036 -0.958 -5.596 1.444 -9.585 0.342" Properties=species:S:1:pos:R:3 pbc="T T T"
O -1.590 -8.389 -1.606
O -1.982 -8.548 3.247
O -0.753 -4.522 -0.190
O -1.481 -6.412 1.956
O -1.658 -6.348 4.487
O -3.052 -1.445 2.994
O -4.627 -9.918 2.494
O -3.125 -8.548 0.419
O -3.242 -6.528 -1.111
O -5.200 -2.155 -0.571
O -3.511 -3.648 1.823
O -1.291 -3.271 3.011
O -3.883 -2.034 -2.737
O 0.236 -9.230 1.233
O -3.737 -6.712 3.078
O 0.960 -6.374 0.228
O -3.989 -5.147 -4.043
O -5.688 -5.233 0.733
O -1.138 -9.263 6.114
O -3.429 -3.545 4.366
O -2.692 -1.775 -0.511
O -4.086 -8.776 -1.927
O 0.238 -1.582 0.057
O -3.615 -4.045 -1.200
Mn -3.493 -10.049 4.249
Mn -2.321 -5.216 -2.779
Mn -5.361 -5.621 -1.298
Mn -0.126 -9.540 4.302
Mn -1.749 -9.891 1.328
Mn -2.586 -5.135 0.615
P -2.815 -3.015 3.050
P -3.850 -2.487 -1.255
P -2.217 -6.989 3.192
P -3.005 -8.098 -1.055
P 0.730 -4.845 0.173
P 0.008 -0.052 0.002
Li -0.985 -2.734 -0.987
Li -5.353 -3.318 1.066
Li -2.135 -7.564 6.021
Li 0.298 -7.348 1.817
Li -4.509 -8.072 1.809
Li -4.908 -3.424 -3.774
```

Output
V ... 11.519 Å³ per atom
DFT total energy ... -7.16 eV per atom

---

- Look up the DFT total energy of the second one.
  -7.06 eV per atom